Computed, not measured: Cd7P10 after structural relaxation at the PBE level of DFT.

Values from the calculation:
Calculated volume: 762.9 Å³/cell
Symmetry: P1, No. 1
Raw total energy: -3.6281 eV per atom
Density: 4.77 g/cm³

Lattice parameters (Å, degrees): 4.691 11.885 14.154 88.13 80.46 78.62
Fractional positions:
Cd: 0.000 0.000 0.000
Cd: 0.009 0.977 0.503
Cd: 0.058 0.241 0.239
Cd: 0.157 0.500 0.915
Cd: 0.318 0.732 0.744
Cd: 0.425 0.495 0.174
Cd: 0.476 0.232 0.432
Cd: 0.500 0.001 0.265
Cd: 0.513 0.968 0.765
Cd: 0.678 0.474 0.415
Cd: 0.707 0.742 0.934
Cd: 0.737 0.236 0.837
Cd: 0.937 0.474 0.671
Cd: 0.992 0.739 0.339
P: 0.013 0.304 0.966
P: 0.063 0.646 0.074
P: 0.069 0.665 0.607
P: 0.086 0.164 0.570
P: 0.209 0.405 0.334
P: 0.213 0.165 0.712
P: 0.266 0.799 0.069
P: 0.326 0.665 0.467
P: 0.368 0.153 0.968
P: 0.400 0.808 0.206
P: 0.409 0.322 0.710
P: 0.536 0.820 0.464
P: 0.559 0.150 0.098
P: 0.621 0.571 0.836
P: 0.718 0.821 0.595
P: 0.731 0.325 0.579
P: 0.746 0.303 0.109
P: 0.746 0.649 0.208
P: 0.880 0.073 0.344
P: 0.968 0.900 0.844